## RbMg6Cd (GGA-PBE)

Data for a relaxed structure of RbMg6Cd.

Lattice parameters (Å, degrees): 5.4119 6.9092 11.7967 90.00 90.00 90.00
Last column: nearest neighbours and their distance in Å.
Element x y z (fractional)
Mg1 0.0000 0.5000 0.1622  10 Mg 3.29-3.50, 2 Rb 3.46
Mg2 0.0000 0.7454 0.9186  8 Mg 3.28-3.52, 2 Cd 3.30, 2 Rb 3.41-3.43
Mg3 0.5000 0.0000 0.8334  10 Mg 3.38-3.43, 2 Cd 3.46
Mg4 0.0000 0.2546 0.9186  8 Mg 3.28-3.52, 2 Cd 3.30, 2 Rb 3.41-3.43
Mg5 0.5000 0.7273 0.0750  1 Cd 3.09, 7 Mg 3.14-3.43
Mg6 0.5000 0.5000 0.3334  10 Mg 3.38-3.43, 2 Cd 3.46
Mg7 0.5000 0.7727 0.5750  1 Cd 3.09, 7 Mg 3.14-3.43
Mg8 0.0000 0.7546 0.4186  8 Mg 3.28-3.52, 2 Cd 3.30, 2 Rb 3.41-3.43
Mg9 0.5000 0.2273 0.5750  1 Cd 3.09, 7 Mg 3.14-3.43
Mg10 0.0000 0.2454 0.4186  8 Mg 3.28-3.52, 2 Cd 3.30, 2 Rb 3.41-3.43
Mg11 0.5000 0.2727 0.0750  1 Cd 3.09, 7 Mg 3.14-3.43
Mg12 0.0000 0.0000 0.6622  10 Mg 3.29-3.50, 2 Rb 3.46
Cd1 0.5000 0.0000 0.3491  8 Mg 3.09-3.46, 2 Rb 3.45
Cd2 0.5000 0.5000 0.8491  8 Mg 3.09-3.46, 2 Rb 3.45
Rb1 0.0000 0.0000 0.1682  10 Mg 3.41-3.48, 2 Cd 3.45
Rb2 0.0000 0.5000 0.6682  10 Mg 3.41-3.48, 2 Cd 3.45

Output
Volume ... 27.57 A^3/atom
Calculated total energy ... -19.8 eV for the cell shown
Energy of formation from the pure elements ... 0.198 eV/atom

***

## Mg14CdSb (GGA-PBE)

Data for a relaxed structure of Mg14CdSb.

Lattice parameters (Å, degrees): 6.3676 6.4659 10.3663 90.00 90.00 120.51
Last column: nearest neighbours and their distance in Å.
Element x y z (fractional)
Mg1 0.6663 0.8325 0.6250  12 Mg 3.16-3.24
Mg2 0.8337 0.1668 0.3754  1 Cd 3.17, 11 Mg 3.17-3.23
Mg3 0.3338 0.6653 0.3755  10 Mg 3.16-3.25, 1 Cd 3.19, 1 Sb 3.20
Mg4 0.3338 0.1686 0.8745  10 Mg 3.16-3.25, 1 Cd 3.19, 1 Sb 3.20
Mg5 0.1668 0.8334 0.6250  12 Mg 3.16-3.23
Mg6 0.1677 0.3338 0.6250  12 Mg 3.17-3.23
Mg7 0.3338 0.6653 0.8745  10 Mg 3.16-3.25, 1 Cd 3.19, 1 Sb 3.20
Mg8 0.8317 0.6659 0.3769  11 Mg 3.16-3.23, 1 Sb 3.19
Mg9 0.3338 0.1686 0.3755  10 Mg 3.16-3.25, 1 Cd 3.19, 1 Sb 3.20
Mg10 0.6676 0.8346 0.1250  2 Cd 3.17-3.20, 8 Mg 3.18-3.24, 2 Sb 3.18
Mg11 0.8337 0.1668 0.8746  1 Cd 3.17, 11 Mg 3.17-3.23
Mg12 0.8317 0.6659 0.8731  11 Mg 3.16-3.23, 1 Sb 3.19
Mg13 0.6676 0.3330 0.1250  2 Cd 3.17-3.20, 8 Mg 3.18-3.24, 2 Sb 3.18
Mg14 0.6663 0.3338 0.6250  12 Mg 3.16-3.24
Cd1 0.1647 0.3323 0.1250  10 Mg 3.17-3.20, 2 Sb 3.23
Sb1 0.1669 0.8335 0.1250  10 Mg 3.18-3.20, 2 Cd 3.23

Output
Volume ... 22.98 A^3/atom
Space group ... No. 38
Calculated total energy ... -27.9 eV for the cell shown
Energy of formation from the pure elements ... -0.039 eV/atom
Total energy after the MP2020 corrections ... -1.76 eV per atom

***

Theoretical density for every record listed, in sequence, given in g cm⁻³: 2.6 2.6.